Record 1
A plane-wave DFT calculation with PBE was carried out for crystalline Tm6ReO12 at its relaxed geometry.

Summary:
MP2020-corrected energy = -8.8770 eV/atom
SG = No. 148
Calculated formation energy = -3.684 eV per atom
E_tot = -160.4 eV for the cell shown

abc: 6.3870 6.3870 6.3870
angles: 98.82 98.82 98.82
Last column: nearest neighbours and their distance in Å.
Fractional coordinates of all 19 atoms:
Tm: 0.8561 0.3900 0.6825  6 O 2.17-2.37
Tm: 0.1439 0.6100 0.3175  6 O 2.17-2.37
Tm: 0.3900 0.6825 0.8561  6 O 2.17-2.37
Tm: 0.6100 0.3175 0.1439  6 O 2.17-2.37
Tm: 0.3175 0.1439 0.6100  6 O 2.17-2.37
Tm: 0.6825 0.8561 0.3900  6 O 2.17-2.37
O: 0.5698 0.4101 0.8227  4 Tm 2.17-2.26
O: 0.8227 0.5698 0.4101  4 Tm 2.17-2.26
O: 0.4101 0.8227 0.5698  4 Tm 2.17-2.26
O: 0.7015 0.9223 0.0384  1 Re 1.96
O: 0.4302 0.5899 0.1773  4 Tm 2.17-2.26
O: 0.9616 0.2985 0.0777  1 Re 1.96
O: 0.0777 0.9616 0.2985  1 Re 1.96
O: 0.5899 0.1773 0.4302  4 Tm 2.17-2.26
O: 0.2985 0.0777 0.9616  1 Re 1.96
O: 0.9223 0.0384 0.7015  1 Re 1.96
O: 0.0384 0.7015 0.9223  1 Re 1.96
O: 0.1773 0.4302 0.5899  4 Tm 2.17-2.26
Re: 0.0000 0.0000 0.0000  6 O 1.96



Record 2
A plane-wave DFT calculation with PBE was carried out for crystalline UReO3 at its relaxed geometry.

Summary:
MP2020-corrected energy = -9.5624 eV/atom
SG = No. 221
Calculated formation energy = -1.846 eV per atom
E_tot = -45.8 eV for the cell shown
Magnetic moment = 1.9 Bohr magnetons per cell

abc: 3.9813 3.9813 3.9813
angles: 90.00 90.00 90.00
Last column: nearest neighbours and their distance in Å.
Fractional coordinates of all 5 atoms:
O: 0.5000 0.0000 0.5000  2 Re 1.99
O: 0.0000 0.5000 0.5000  2 Re 1.99
O: 0.5000 0.5000 0.0000  2 Re 1.99
Re: 0.5000 0.5000 0.5000  6 O 1.99
U: 0.0000 0.0000 0.0000  12 O 2.82



Record 3
A plane-wave DFT calculation with PBE was carried out for crystalline Y3ReO8 at its relaxed geometry.

Summary:
MP2020-corrected energy = -9.2444 eV/atom
SG = No. 14
Calculated formation energy = -3.292 eV per atom
E_tot = -421.7 eV for the cell shown

abc: 6.0585 7.2928 14.5646
angles: 68.50 90.00 90.00
Last column: nearest neighbours and their distance in Å.
Fractional coordinates of all 48 atoms:
O: 0.8049 0.4159 0.9801  1 Re 1.90
O: 0.4698 0.3515 0.8423  4 Y 2.20-2.38
O: 0.0543 0.1196 0.0878  1 Re 1.87
O: 0.9552 0.7486 0.4031  1 Re 1.90
O: 0.6951 0.4159 0.4801  1 Re 1.90
O: 0.1443 0.6677 0.8299  1 Re 1.98
O: 0.5300 0.3131 0.3270  4 Y 2.25-2.38
O: 0.2065 0.0334 0.2863  1 Re 1.92
O: 0.4457 0.1196 0.5878  1 Re 1.87
O: 0.5543 0.8804 0.4122  1 Re 1.87
O: 0.0448 0.2514 0.5969  1 Re 1.90
O: 0.4552 0.2514 0.0969  1 Re 1.90
O: 0.3557 0.6677 0.3299  1 Re 1.98
O: 0.9700 0.3131 0.8270  4 Y 2.25-2.38
O: 0.3049 0.5841 0.5199  1 Re 1.90
O: 0.1959 0.9751 0.4809  1 Re 1.82
O: 0.9457 0.8804 0.9122  1 Re 1.87
O: 0.1951 0.5841 0.0199  1 Re 1.90
O: 0.6959 0.0249 0.0191  1 Re 1.82
O: 0.9698 0.6485 0.6577  4 Y 2.20-2.38
O: 0.5448 0.7486 0.9031  1 Re 1.90
O: 0.5302 0.6485 0.1577  4 Y 2.20-2.38
O: 0.0300 0.6869 0.1730  4 Y 2.25-2.38
O: 0.3041 0.9751 0.9809  1 Re 1.82
O: 0.6443 0.3323 0.6701  1 Re 1.98
O: 0.8041 0.0249 0.5191  1 Re 1.82
O: 0.7065 0.9666 0.2137  1 Re 1.92
O: 0.8557 0.3323 0.1701  1 Re 1.98
O: 0.2935 0.0334 0.7863  1 Re 1.92
O: 0.4700 0.6869 0.6730  4 Y 2.25-2.38
O: 0.7935 0.9666 0.7137  1 Re 1.92
O: 0.0302 0.3515 0.3423  4 Y 2.20-2.38
Y: 0.2405 0.4060 0.7020  8 O 2.32-2.58
Y: 0.1985 0.3396 0.9449  5 O 2.20-2.41
Y: 0.6892 0.1078 0.8326  5 O 2.25-2.40
Y: 0.6985 0.6604 0.5551  5 O 2.20-2.41
Y: 0.3108 0.8922 0.1674  5 O 2.25-2.40
Y: 0.8015 0.6604 0.0551  5 O 2.20-2.41
Y: 0.8108 0.1078 0.3326  5 O 2.25-2.40
Y: 0.7405 0.5940 0.7980  8 O 2.32-2.58
Y: 0.7595 0.5940 0.2980  8 O 2.32-2.58
Y: 0.1892 0.8922 0.6674  5 O 2.25-2.40
Y: 0.3015 0.3396 0.4449  5 O 2.20-2.41
Y: 0.2595 0.4060 0.2020  8 O 2.32-2.58
Re: 0.7453 0.1787 0.5902  6 O 1.82-1.98
Re: 0.2547 0.8213 0.4098  6 O 1.82-1.98
Re: 0.2453 0.8213 0.9098  6 O 1.82-1.98
Re: 0.7547 0.1787 0.0902  6 O 1.82-1.98



Record 4
A plane-wave DFT calculation with PBE was carried out for crystalline Y2ReO5 at its relaxed geometry.

Summary:
MP2020-corrected energy = -9.4828 eV/atom
SG = No. 85
Calculated formation energy = -3.218 eV per atom
E_tot = -289.7 eV for the cell shown

abc: 8.5773 8.5773 5.6896
angles: 90.00 90.00 90.00
Last column: nearest neighbours and their distance in Å.
Fractional coordinates of all 32 atoms:
O: 0.0000 0.0000 0.5000  4 Y 2.26
O: 0.4049 0.2023 0.9008  1 Re 1.94
O: 0.7023 0.0951 0.9008  1 Re 1.94
O: 0.5951 0.7977 0.9008  1 Re 1.94
O: 0.0000 0.0000 0.0000  4 Y 2.26
O: 0.2023 0.5951 0.0992  1 Re 1.94
O: 0.7977 0.4049 0.0992  1 Re 1.94
O: 0.5000 0.5000 0.5000  4 Y 2.26
O: 0.9049 0.7023 0.0992  1 Re 1.94
O: 0.2025 0.4062 0.6023  1 Re 1.94
O: 0.2977 0.9049 0.9008  1 Re 1.94
O: 0.4062 0.7975 0.3977  1 Re 1.94
O: 0.2975 0.0938 0.3977  1 Re 1.94
O: 0.7025 0.9062 0.3977  1 Re 1.94
O: 0.0951 0.2977 0.0992  1 Re 1.94
O: 0.5000 0.5000 0.0000  4 Y 2.26
O: 0.0938 0.7025 0.6023  1 Re 1.94
O: 0.9062 0.2975 0.6023  1 Re 1.94
O: 0.7975 0.5938 0.6023  1 Re 1.94
O: 0.5938 0.2025 0.3977  1 Re 1.94
Y: 0.3502 0.6400 0.7502  7 O 2.26-2.52
Y: 0.1400 0.1498 0.7502  7 O 2.26-2.52
Y: 0.6400 0.6498 0.2498  7 O 2.26-2.52
Y: 0.1498 0.8600 0.2498  7 O 2.26-2.52
Y: 0.6498 0.3600 0.7502  7 O 2.26-2.52
Y: 0.8502 0.1400 0.2498  7 O 2.26-2.52
Y: 0.8600 0.8502 0.7502  7 O 2.26-2.52
Y: 0.3600 0.3502 0.2498  7 O 2.26-2.52
Re: 0.0000 0.5000 0.5449  4 O 1.94
Re: 0.5000 0.0000 0.4551  4 O 1.94
Re: 0.0000 0.5000 0.1489  4 O 1.94
Re: 0.5000 0.0000 0.8511  4 O 1.94



Record 5
A plane-wave DFT calculation with PBE was carried out for crystalline Y7ReO14 at its relaxed geometry.

Summary:
MP2020-corrected energy = -9.3318 eV/atom
SG = No. 58
Calculated formation energy = -3.560 eV per atom
E_tot = -391.4 eV for the cell shown
Magnetic moment = 0.0 Bohr magnetons per cell

abc: 7.5734 7.6304 10.6749
angles: 90.00 90.00 90.00
Last column: nearest neighbours and their distance in Å.
Fractional coordinates of all 44 atoms:
O: 0.8206 0.9367 0.6121  1 Re 1.87
O: 0.6794 0.5633 0.1121  1 Re 1.87
O: 0.1794 0.9367 0.6121  1 Re 1.87
O: 0.7698 0.5108 0.6346  4 Y 2.26-2.50
O: 0.5000 0.7739 0.3657  3 Y 2.24-2.30
O: 0.3206 0.4367 0.8879  1 Re 1.87
O: 0.0000 0.7748 0.4187  1 Re 1.92
O: 0.7302 0.0108 0.8654  4 Y 2.26-2.50
O: 0.2698 0.9892 0.1346  4 Y 2.26-2.50
O: 0.0000 0.7318 0.1373  3 Y 2.24-2.30
O: 0.2698 0.0108 0.8654  4 Y 2.26-2.50
O: 0.0000 0.2739 0.1343  3 Y 2.24-2.30
O: 0.8206 0.0633 0.3879  1 Re 1.87
O: 0.0000 0.7261 0.8657  3 Y 2.24-2.30
O: 0.6794 0.4367 0.8879  1 Re 1.87
O: 0.5000 0.7252 0.9187  1 Re 1.92
O: 0.5000 0.2318 0.3627  3 Y 2.24-2.30
O: 0.7698 0.4892 0.3654  4 Y 2.26-2.50
O: 0.0000 0.2252 0.5813  1 Re 1.92
O: 0.7302 0.9892 0.1346  4 Y 2.26-2.50
O: 0.5000 0.7682 0.6373  3 Y 2.24-2.30
O: 0.1794 0.0633 0.3879  1 Re 1.87
O: 0.0000 0.2682 0.8627  3 Y 2.24-2.30
O: 0.5000 0.2261 0.6343  3 Y 2.24-2.30
O: 0.2302 0.5108 0.6346  4 Y 2.26-2.50
O: 0.2302 0.4892 0.3654  4 Y 2.26-2.50
O: 0.5000 0.2748 0.0813  1 Re 1.92
O: 0.3206 0.5633 0.1121  1 Re 1.87
Y: 0.2329 0.2415 0.7354  6 O 2.24-2.42
Y: 0.2329 0.7585 0.2646  6 O 2.24-2.42
Y: 0.7671 0.2415 0.7354  6 O 2.24-2.42
Y: 0.5000 0.0000 0.5000  4 O 2.24-2.30
Y: 0.0000 0.5000 0.0000  4 O 2.24-2.30
Y: 0.7671 0.7585 0.2646  6 O 2.24-2.42
Y: 0.2671 0.2585 0.2354  6 O 2.24-2.42
Y: 0.2671 0.7415 0.7646  6 O 2.24-2.42
Y: 0.7329 0.2585 0.2354  6 O 2.24-2.42
Y: 0.5000 0.0000 0.0000  6 O 2.26-2.27
Y: 0.0000 0.0000 0.0000  8 O 2.50-2.53
Y: 0.5000 0.5000 0.5000  8 O 2.50-2.53
Y: 0.7329 0.7415 0.7646  6 O 2.24-2.42
Y: 0.0000 0.5000 0.5000  6 O 2.26-2.27
Re: 0.0000 0.0000 0.5000  6 O 1.87-1.92
Re: 0.5000 0.5000 0.0000  6 O 1.87-1.92



Record 6
A plane-wave DFT calculation with PBE was carried out for crystalline Y7ReO14 at its relaxed geometry.

Summary:
MP2020-corrected energy = -9.2793 eV/atom
SG = No. 166
Calculated formation energy = -3.507 eV per atom
E_tot = -194.5 eV for the cell shown
Magnetic moment = 0.0 Bohr magnetons per cell

abc: 7.7102 7.7102 7.7102
angles: 58.58 58.58 58.58
Last column: nearest neighbours and their distance in Å.
Fractional coordinates of all 22 atoms:
Y: 0.0000 0.5000 0.0000  4 O 2.26-2.34
Y: 0.5000 0.0000 0.5000  6 O 2.26
Y: 0.0000 0.0000 0.0000  8 O 2.50-2.58
Y: 0.5000 0.0000 0.0000  4 O 2.26-2.34
Y: 0.0000 0.0000 0.5000  4 O 2.26-2.34
Y: 0.5000 0.5000 0.0000  6 O 2.26
Y: 0.0000 0.5000 0.5000  6 O 2.26
O: 0.1357 0.1357 0.5961  4 Y 2.26-2.50
O: 0.8643 0.8643 0.4039  4 Y 2.26-2.50
O: 0.5701 0.2026 0.5701  1 Re 1.89
O: 0.4039 0.8643 0.8643  4 Y 2.26-2.50
O: 0.4299 0.7974 0.4299  1 Re 1.89
O: 0.8643 0.4039 0.8643  4 Y 2.26-2.50
O: 0.1353 0.1353 0.1353  3 Y 2.26
O: 0.7974 0.4299 0.4299  1 Re 1.89
O: 0.5701 0.5701 0.2026  1 Re 1.89
O: 0.1357 0.5961 0.1357  4 Y 2.26-2.50
O: 0.5961 0.1357 0.1357  4 Y 2.26-2.50
O: 0.2026 0.5701 0.5701  1 Re 1.89
O: 0.4299 0.4299 0.7974  1 Re 1.89
O: 0.8647 0.8647 0.8647  3 Y 2.26
Re: 0.5000 0.5000 0.5000  6 O 1.89